No. 1
Computed, not measured: an optimized crystal structure of Nd2Mg at the GGA-PBE level of DFT.

Lattice parameters (Å, degrees): 3.8595 3.8595 12.7472 90.00 90.00 90.00
Space group I4/mmm (No. 139)
Asymmetric unit:
Nd (0.0000, 0.0000, 0.1528)
Mg (0.0000, 0.0000, 0.5000)

Distance to the lowest polymorph of the same formula = 11 meV/atom

No. 2
Computed, not measured: an optimized crystal structure of MgNi4P4S4 at the GGA-PBE level of DFT.

Lattice parameters (Å, degrees): 5.4174 5.5105 7.2620 89.63 85.11 89.95
Space group P1 (No. 1)
Asymmetric unit:
Mg (0.0000, 0.0000, 0.0000)
Ni (0.3476, 0.7246, 0.7338)
Ni (0.4713, 0.2381, 0.2645)
Ni (0.8467, 0.2303, 0.6777)
Ni (0.9701, 0.7389, 0.3168)
P (0.3380, 0.8774, 0.2293)
P (0.4895, 0.3687, 0.7950)
P (0.8269, 0.1215, 0.3734)
P (0.9947, 0.6076, 0.6254)
S (0.0884, 0.3575, 0.2128)
S (0.2383, 0.1078, 0.6956)
S (0.5850, 0.6120, 0.3059)
S (0.7267, 0.8467, 0.7714)

Distance to the lowest polymorph of the same formula = 0 meV/atom
Total magnetic moment = 0.000 μB/f.u.

No. 3
Computed, not measured: an optimized crystal structure of Na10Ga8Si5S7O48 at the GGA-PBE level of DFT.

Lattice parameters (Å, degrees): 8.7871 15.1465 22.0686 88.31 89.68 89.87
Space group P1 (No. 1)
Asymmetric unit:
Na (0.0000, 0.0000, 0.0000)
Na (0.0006, 0.6666, 0.6655)
Na (0.0052, 0.3344, 0.3324)
Na (0.1277, 0.4877, 0.2514)
Na (0.1371, 0.1613, 0.9188)
Na (0.1400, 0.8315, 0.5864)
Na (0.1467, 0.1590, 0.4228)
Na (0.1479, 0.8248, 0.0873)
Na (0.1515, 0.4902, 0.7539)
Na (0.2686, 0.3346, 0.8323)
Na (0.2746, 0.6676, 0.1649)
Na (0.3252, 0.3114, 0.5041)
Na (0.4479, 0.1482, 0.3427)
Na (0.4590, 0.5096, 0.3378)
Na (0.5001, 0.1679, 0.6661)
Na (0.5057, 0.8339, 0.3320)
Na (0.6160, 0.6576, 0.9238)
Na (0.6271, 0.9865, 0.2521)
Na (0.6340, 0.3337, 0.0874)
Na (0.6391, 0.3310, 0.5876)
Na (0.6416, 0.9910, 0.7518)
Na (0.6468, 0.6589, 0.4222)
Na (0.7736, 0.1679, 0.1661)
Na (0.7743, 0.8332, 0.8330)
Na (0.8158, 0.5092, 0.8395)
Na (0.8253, 0.8115, 0.5035)
Na (0.8263, 0.1497, 0.8406)
Na (0.9475, 0.6481, 0.3420)
Na (0.9493, 0.3134, 0.0029)
Na (0.9591, 0.0090, 0.3384)
Ga (0.1166, 0.8399, 0.7344)
Ga (0.1218, 0.1710, 0.0712)
Ga (0.1217, 0.4963, 0.4020)
Ga (0.1258, 0.1698, 0.7738)
Ga (0.1256, 0.8293, 0.4374)
Ga (0.1306, 0.4981, 0.1040)
Ga (0.1413, 0.4952, 0.6044)
Ga (0.1456, 0.8267, 0.9388)
Ga (0.1464, 0.8427, 0.2372)
Ga (0.1518, 0.1728, 0.2730)
Ga (0.1559, 0.5005, 0.9004)
Ga (0.1583, 0.1659, 0.5707)
Ga (0.6068, 0.6690, 0.0681)
Ga (0.6217, 0.9961, 0.4021)
Ga (0.6228, 0.6657, 0.7699)
Ga (0.6257, 0.3295, 0.4376)
Ga (0.6270, 0.3429, 0.7381)
Ga (0.6282, 0.9944, 0.1048)
Ga (0.6419, 0.9963, 0.6047)
Ga (0.6464, 0.3448, 0.2371)
Ga (0.6473, 0.3326, 0.9369)
Ga (0.6513, 0.0014, 0.9052)
Ga (0.6525, 0.6725, 0.2720)
Ga (0.6566, 0.6661, 0.5693)
Si (0.2787, 0.6431, 0.0039)
Si (0.2800, 0.9766, 0.3380)
Si (0.2848, 0.3142, 0.6711)
Si (0.3475, 0.3331, 0.3373)
Si (0.4887, 0.8139, 0.1717)
Si (0.4924, 0.4804, 0.8378)
Si (0.4964, 0.1425, 0.5045)
Si (0.7766, 0.1455, 0.0061)
Si (0.7788, 0.8132, 0.6711)
Si (0.7802, 0.4769, 0.3382)
Si (0.8473, 0.8329, 0.3371)
Si (0.9272, 0.3334, 0.8370)
Si (0.9883, 0.3155, 0.1709)
Si (0.9963, 0.9762, 0.8398)
Si (0.9970, 0.6425, 0.5046)
S (0.2803, 0.0179, 0.6721)
S (0.2826, 0.6856, 0.3378)
S (0.2872, 0.3511, 0.0049)
S (0.3477, 0.6657, 0.6699)
S (0.3479, 0.9989, 0.0037)
S (0.4254, 0.8325, 0.8366)
S (0.4261, 0.1645, 0.1693)
S (0.4307, 0.5015, 0.5044)
S (0.4862, 0.8507, 0.5055)
S (0.4908, 0.1827, 0.8381)
S (0.4929, 0.5189, 0.1711)
S (0.7814, 0.5179, 0.6706)
S (0.7813, 0.8497, 0.0045)
S (0.7825, 0.1857, 0.3376)
S (0.8429, 0.5018, 0.0043)
S (0.8486, 0.1644, 0.6695)
S (0.9259, 0.6649, 0.1690)
S (0.9305, 0.0014, 0.5045)
S (0.9860, 0.3504, 0.5052)
S (0.9930, 0.0180, 0.1706)
S (0.9939, 0.6866, 0.8369)
O (0.0071, 0.2522, 0.1117)
O (0.0086, 0.9111, 0.7829)
O (0.0155, 0.4055, 0.5578)
O (0.0163, 0.7429, 0.8893)
O (0.0186, 0.0730, 0.2246)
O (0.0229, 0.0815, 0.5119)
O (0.0238, 0.7438, 0.1741)
O (0.0246, 0.5852, 0.4439)
O (0.0270, 0.9204, 0.5016)
O (0.0279, 0.5855, 0.1667)
O (0.0314, 0.4227, 0.8459)
O (0.0395, 0.2464, 0.8331)
O (0.0561, 0.5958, 0.8429)
O (0.0581, 0.2611, 0.5114)
O (0.0611, 0.9295, 0.1738)
O (0.0620, 0.2677, 0.2318)
O (0.0629, 0.0587, 0.1143)
O (0.0652, 0.3868, 0.4489)
O (0.0654, 0.7239, 0.7803)
O (0.0671, 0.5973, 0.5670)
O (0.0670, 0.9308, 0.9019)
O (0.0676, 0.0751, 0.8301)
O (0.0709, 0.4117, 0.1620)
O (0.0712, 0.7436, 0.5004)
O (0.1969, 0.0745, 0.3287)
O (0.1972, 0.9325, 0.3979)
O (0.2009, 0.7431, 0.9972)
O (0.2035, 0.4116, 0.6626)
O (0.2063, 0.6009, 0.0678)
O (0.2076, 0.0553, 0.6162)
O (0.2085, 0.3868, 0.9492)
O (0.2089, 0.7226, 0.2820)
O (0.2113, 0.2666, 0.7321)
O (0.2153, 0.2606, 0.0113)
O (0.2146, 0.5957, 0.3442)
O (0.2162, 0.9272, 0.6778)
O (0.2353, 0.2463, 0.3333)
O (0.2416, 0.4225, 0.3458)
O (0.2450, 0.5880, 0.6668)
O (0.2457, 0.9211, 0.0002)
O (0.2475, 0.5822, 0.9463)
O (0.2505, 0.0793, 0.0093)
O (0.2510, 0.7464, 0.6761)
O (0.2544, 0.0737, 0.7251)
O (0.2577, 0.4047, 0.0581)
O (0.2613, 0.7414, 0.3906)
O (0.2645, 0.2517, 0.6116)
O (0.2718, 0.9139, 0.2802)
O (0.2996, 0.8169, 0.1772)
O (0.3074, 0.1551, 0.5085)
O (0.3076, 0.4870, 0.8421)
O (0.3211, 0.8434, 0.4985)
O (0.3241, 0.1741, 0.8323)
O (0.3247, 0.5124, 0.1662)
O (0.3277, 0.1760, 0.1156)
O (0.3310, 0.4814, 0.5578)
O (0.3319, 0.8453, 0.7815)
O (0.3345, 0.8158, 0.8923)
O (0.3371, 0.1473, 0.2266)
O (0.3404, 0.5143, 0.4479)
O (0.4383, 0.6482, 0.7258)
O (0.4400, 0.9824, 0.0588)
O (0.4420, 0.3080, 0.3988)
O (0.4430, 0.0119, 0.9482)
O (0.4438, 0.6784, 0.6153)
O (0.4486, 0.0119, 0.6663)
O (0.4496, 0.6741, 0.3321)
O (0.4528, 0.3423, 0.9977)
O (0.4565, 0.3505, 0.2782)
O (0.4653, 0.9908, 0.3427)
O (0.4658, 0.6517, 0.0077)
O (0.4740, 0.3168, 0.6773)
O (0.5047, 0.4170, 0.7797)
O (0.5110, 0.7487, 0.1151)
O (0.5136, 0.2390, 0.8911)
O (0.5161, 0.9054, 0.5580)
O (0.5169, 0.5719, 0.2262)
O (0.5228, 0.2438, 0.1737)
O (0.5232, 0.5818, 0.5118)
O (0.5245, 0.0853, 0.4437)
O (0.5242, 0.9122, 0.8426)
O (0.5272, 0.4206, 0.5015)
O (0.5277, 0.0856, 0.1662)
O (0.5286, 0.7538, 0.8332)
O (0.5584, 0.7611, 0.5115)
O (0.5609, 0.4291, 0.1745)
O (0.5611, 0.7694, 0.2340)
O (0.5621, 0.0932, 0.8451)
O (0.5652, 0.8868, 0.4491)
O (0.5656, 0.2195, 0.7822)
O (0.5657, 0.5595, 0.1165)
O (0.5667, 0.0974, 0.5669)
O (0.5703, 0.9112, 0.1633)
O (0.5709, 0.2435, 0.5003)
O (0.5779, 0.4354, 0.8970)
O (0.5806, 0.5771, 0.8290)
O (0.6971, 0.4324, 0.3978)
O (0.6972, 0.5744, 0.3289)
O (0.7009, 0.9111, 0.6633)
O (0.7026, 0.2449, 0.0006)
O (0.7070, 0.0962, 0.0671)
O (0.7070, 0.7667, 0.7334)
O (0.7084, 0.5593, 0.6162)
O (0.7090, 0.2228, 0.2816)
O (0.7093, 0.8876, 0.9475)
O (0.7133, 0.4291, 0.6744)
O (0.7149, 0.0957, 0.3439)
O (0.7162, 0.7604, 0.0112)
O (0.7358, 0.7461, 0.3333)
O (0.7414, 0.9225, 0.3458)
O (0.7464, 0.4204, 0.0016)
O (0.7466, 0.0855, 0.6666)
O (0.7506, 0.2436, 0.6739)
O (0.7509, 0.5816, 0.0122)
O (0.7558, 0.9081, 0.0563)
O (0.7582, 0.5724, 0.7253)
O (0.7601, 0.7505, 0.6123)
O (0.7620, 0.0837, 0.9464)
O (0.7616, 0.2413, 0.3903)
O (0.7735, 0.4135, 0.2804)
O (0.7993, 0.3168, 0.1770)
O (0.8050, 0.9858, 0.8441)
O (0.8080, 0.6556, 0.5083)
O (0.8172, 0.3500, 0.7784)
O (0.8209, 0.3434, 0.4982)
O (0.8244, 0.0126, 0.1658)
O (0.8249, 0.6784, 0.8320)
O (0.8275, 0.6762, 0.1159)
O (0.8308, 0.3072, 0.8988)
O (0.8307, 0.9809, 0.5579)
O (0.8380, 0.6477, 0.2270)
O (0.8400, 0.0141, 0.4480)
O (0.9334, 0.5134, 0.9475)
O (0.9371, 0.1476, 0.7265)
O (0.9418, 0.8082, 0.3988)
O (0.9426, 0.4804, 0.0575)
O (0.9474, 0.1757, 0.6155)
O (0.9494, 0.5123, 0.6654)
O (0.9491, 0.8453, 0.9989)
O (0.9498, 0.1742, 0.3317)
O (0.9566, 0.8513, 0.2782)
O (0.9655, 0.4908, 0.3428)
O (0.9682, 0.1525, 0.0099)
O (0.9684, 0.8158, 0.6755)

Total magnetic moment = 0.000 μB/f.u.

No. 4
Computed, not measured: an optimized crystal structure of Ac2ZnGe at the GGA-PBE level of DFT.

Lattice parameters (Å, degrees): 7.8022 7.8022 7.8022 90.00 90.00 90.00
Space group Fm-3m (No. 225)
Asymmetric unit:
Ac (0.2500, 0.2500, 0.2500)
Zn (0.0000, 0.0000, 0.0000)
Ge (0.0000, 0.0000, 0.5000)

No. 5
Computed, not measured: an optimized crystal structure of LaTh at the GGA-PBE level of DFT.

Lattice parameters (Å, degrees): 3.6130 3.6130 17.9957 90.00 90.00 120.00
Space group R-3m (No. 166, hexagonal axes)
Asymmetric unit:
La (0.0000, 0.0000, 0.0000)
Th (0.0000, 0.0000, 0.5000)

No. 6
Computed, not measured: an optimized crystal structure of SmLuO3 at the GGA-PBE level of DFT.

Lattice parameters (Å, degrees): 5.9587 8.2991 5.6990 90.00 90.00 90.00
Space group Pnma (No. 62)
Asymmetric unit:
Sm (0.0549, 0.2500, 0.0146)
Lu (0.0000, 0.0000, 0.5000)
O (0.0627, 0.7500, 0.3696)
O (0.1884, 0.5677, 0.8144)

Total magnetic moment = 0.000 μB/f.u.

No. 7
Computed, not measured: an optimized crystal structure of Te2Mo3WSe6 at the GGA-PBE level of DFT.

Lattice parameters (Å, degrees): 3.3848 3.3848 38.4395 90.00 90.00 120.00
Space group P3m1 (No. 156)
Asymmetric unit:
Te (0.0000, 0.0000, 0.0000)
Te (0.0000, 0.0000, 0.0982)
Mo (0.0000, 0.0000, 0.4855)
Mo (0.0000, 0.0000, 0.8612)
Mo (0.3333, 0.6667, 0.6734)
W (0.3333, 0.6667, 0.0491)
Se (0.0000, 0.0000, 0.6304)
Se (0.0000, 0.0000, 0.7164)
Se (0.3333, 0.6667, 0.4425)
Se (0.3333, 0.6667, 0.5285)
Se (0.3333, 0.6667, 0.8182)
Se (0.3333, 0.6667, 0.9043)

Distance to the lowest polymorph of the same formula = 20 meV/atom
Total magnetic moment = 0.000 μB/f.u.

No. 8
Computed, not measured: an optimized crystal structure of K2Zn2Si8O19 at the GGA-PBE level of DFT.

Lattice parameters (Å, degrees): 13.9854 5.1645 12.5784 90.00 107.22 90.00
Space group C2 (No. 5)
Asymmetric unit:
K (0.1230, 0.0000, 0.1487)
Zn (0.1995, 0.0360, 0.9113)
Si (0.0023, 0.6766, 0.6673)
Si (0.0730, 0.5282, 0.9246)
Si (0.1259, 0.1871, 0.4267)
Si (0.2040, 0.9409, 0.6595)
O (0.0000, 0.6264, 0.0000)
O (0.0134, 0.6411, 0.7991)
O (0.0403, 0.4113, 0.3994)
O (0.0778, 0.9114, 0.3741)
O (0.0830, 0.2180, 0.9284)
O (0.1074, 0.7489, 0.6454)
O (0.1748, 0.1607, 0.5604)
O (0.1813, 0.6784, 0.9665)
O (0.2089, 0.2529, 0.3634)
O (0.2446, 0.0656, 0.7811)

Total magnetic moment = 0.000 μB/f.u.

no.,formation energy from the elements (meV/atom)
1,-47
2,-481
3,-2269
4,-407
5,36
6,-3953
7,-739
8,-2994